Record 1
Compound: Si4Mo8Pt5
Source: the Materials Project database
Functional: PBE-GGA
Structure: relaxed

a = 7.9996 Å, b = 7.9996 Å, c = 9.6721 Å
α = 99.81°, β = 99.81°, γ = 60.48°
Last column: nearest neighbours and their distance in Å.
Element x y z (fractional)
Si 0.0029 0.4720 0.2483  3 Pt 2.40-2.43, 1 Si 2.56, 1 Mo 2.67
Si 0.1016 0.8984 0.5000  4 Pt 2.45-2.59
Si 0.1043 0.3702 0.4994  3 Pt 2.36-2.50, 1 Si 2.56
Si 0.3702 0.1043 0.9994  3 Pt 2.36-2.50, 1 Si 2.56
Si 0.4720 0.0029 0.7483  3 Pt 2.40-2.43, 1 Si 2.56, 1 Mo 2.67
Si 0.5792 0.8868 0.4844  4 Pt 2.42-2.54, 1 Mo 2.69, 1 Si 2.70
Si 0.8868 0.5792 0.9844  4 Pt 2.42-2.54, 1 Mo 2.69, 1 Si 2.70
Si 0.8984 0.1016 0.0000  4 Pt 2.45-2.59
Mo 0.1096 0.7102 0.9128  1 Mo 2.44, 1 Si 2.69, 2 Pt 2.71
Mo 0.1580 0.9813 0.7919  4 Mo 2.60-2.84, 4 Si 2.71-2.84, 4 Pt 2.79-2.86
Mo 0.1664 0.3468 0.8000  5 Mo 2.67-2.94, 4 Si 2.67-2.89, 4 Pt 2.84-2.91
Mo 0.2075 0.6141 0.6741  1 Mo 2.44, 1 Si 2.71, 1 Pt 2.72
Mo 0.3468 0.1664 0.3000  5 Mo 2.67-2.94, 4 Si 2.67-2.89, 4 Pt 2.84-2.91
Mo 0.3593 0.4959 0.3930  2 Mo 2.49-2.68, 1 Pt 2.71
Mo 0.4939 0.6716 0.8923  2 Mo 2.49-2.77, 4 Pt 2.75-2.79
Mo 0.4959 0.3593 0.8930  2 Mo 2.49-2.68, 1 Pt 2.71
Mo 0.6141 0.2075 0.1741  1 Mo 2.44, 1 Si 2.71, 1 Pt 2.72
Mo 0.6343 0.8366 0.1991  4 Mo 2.67-2.96, 5 Pt 2.77-2.95, 3 Si 2.80-2.92
Mo 0.6716 0.4939 0.3923  2 Mo 2.49-2.77, 4 Pt 2.75-2.79
Mo 0.7102 0.1096 0.4128  1 Mo 2.44, 1 Si 2.69, 2 Pt 2.71
Mo 0.8311 0.9856 0.7013  2 Mo 2.60-2.79, 3 Pt 2.84-2.91, 1 Si 2.91
Mo 0.8366 0.6343 0.6991  4 Mo 2.67-2.96, 5 Pt 2.77-2.95, 3 Si 2.80-2.92
Mo 0.9813 0.1580 0.2919  4 Mo 2.60-2.84, 4 Si 2.71-2.84, 4 Pt 2.79-2.86
Mo 0.9856 0.8311 0.2013  2 Mo 2.60-2.79, 3 Pt 2.84-2.91, 1 Si 2.91
Pt 0.2319 0.4439 0.0981  3 Si 2.43-2.54, 1 Mo 2.71
Pt 0.2427 0.9348 0.0827  2 Si 2.36-2.45, 1 Pt 2.58
Pt 0.3357 0.8264 0.3336  2 Si 2.42-2.47, 1 Pt 2.58, 1 Mo 2.71
Pt 0.4439 0.2319 0.5981  3 Si 2.43-2.54, 1 Mo 2.71
Pt 0.4545 0.7275 0.6130  3 Si 2.42-2.59
Pt 0.7148 0.9183 0.9461  4 Si 2.40-2.50
Pt 0.7275 0.4545 0.1130  3 Si 2.42-2.59
Pt 0.8264 0.3357 0.8336  2 Si 2.42-2.47, 1 Pt 2.58, 1 Mo 2.71
Pt 0.9183 0.7148 0.4461  4 Si 2.40-2.50
Pt 0.9348 0.2427 0.5827  2 Si 2.36-2.45, 1 Pt 2.58

Properties
For the volume, the calculation gives 15.53 A^3/atom. For the size of the total moment, the calculation gives 0.00 μB per formula unit. The value obtained for the formation energy from the elements is -0.301 eV per atom. As for the energy: -8.4668 eV per atom.

Record 2
Compound: Si3MoPt2
Source: the Materials Project database
Functional: PBE-GGA
Structure: relaxed

a = 3.5107 Å, b = 9.2506 Å, c = 5.5377 Å
α = 90.00°, β = 90.00°, γ = 90.00°
Last column: nearest neighbours and their distance in Å.
Element x y z (fractional)
Si 0.0000 0.0648 0.0000  2 Pt 2.43, 4 Mo 2.54-2.55
Si 0.0000 0.2775 0.5115  4 Pt 2.50-2.55, 2 Mo 2.58, 2 Si 2.72
Si 0.0000 0.7225 0.0115  4 Pt 2.50-2.55, 2 Mo 2.58, 2 Si 2.72
Si 0.0000 0.9352 0.5000  2 Pt 2.43, 4 Mo 2.54-2.55
Si 0.5000 0.3730 0.1720  3 Pt 2.41-2.44, 1 Mo 2.62
Si 0.5000 0.6270 0.6720  3 Pt 2.41-2.44, 1 Mo 2.62
Mo 0.5000 0.1053 0.3272  7 Si 2.54-2.62
Mo 0.5000 0.8947 0.8272  7 Si 2.54-2.62
Pt 0.0000 0.4702 0.8285  4 Si 2.44-2.54
Pt 0.0000 0.5298 0.3285  4 Si 2.44-2.54
Pt 0.5000 0.2142 0.8273  5 Si 2.41-2.55
Pt 0.5000 0.7858 0.3273  5 Si 2.41-2.55

Properties
For the volume, the calculation gives 14.99 A^3/atom. The value obtained for the formation energy from the elements is -0.630 eV per atom. As for the energy: -7.1739 eV per atom.

Record 3
Compound: Ti2MoPt
Source: the Materials Project database
Functional: PBE-GGA
Structure: relaxed

a = 6.2950 Å, b = 6.2950 Å, c = 6.2950 Å
α = 90.00°, β = 90.00°, γ = 90.00°
Last column: nearest neighbours and their distance in Å.
Element x y z (fractional)
Ti 0.2500 0.2500 0.2500  4 Mo 2.73, 4 Pt 2.73
Ti 0.2500 0.2500 0.7500  4 Mo 2.73, 4 Pt 2.73
Ti 0.2500 0.7500 0.2500  4 Mo 2.73, 4 Pt 2.73
Ti 0.2500 0.7500 0.7500  4 Mo 2.73, 4 Pt 2.73
Ti 0.7500 0.2500 0.2500  4 Mo 2.73, 4 Pt 2.73
Ti 0.7500 0.2500 0.7500  4 Mo 2.73, 4 Pt 2.73
Ti 0.7500 0.7500 0.2500  4 Mo 2.73, 4 Pt 2.73
Ti 0.7500 0.7500 0.7500  4 Pt 2.73, 4 Mo 2.73
Mo 0.0000 0.0000 0.0000  8 Ti 2.73
Mo 0.0000 0.5000 0.5000  8 Ti 2.73
Mo 0.5000 0.0000 0.5000  8 Ti 2.73
Mo 0.5000 0.5000 0.0000  8 Ti 2.73
Pt 0.0000 0.0000 0.5000  8 Ti 2.73
Pt 0.0000 0.5000 0.0000  8 Ti 2.73
Pt 0.5000 0.0000 0.0000  8 Ti 2.73
Pt 0.5000 0.5000 0.5000  8 Ti 2.73

Properties
For the volume, the calculation gives 15.59 A^3/atom. The value obtained for the formation energy from the elements is -0.642 eV per atom. As for the energy: -8.8187 eV per atom.